# 1
VASP calculation (GGA-PBE) on a relaxed structure of NaCO2.

space group	C2/c

abc: 4.6711 4.6711 6.3201
angles: 73.39 73.39 95.43
With the nearest neighbours (Å) after each atom.
Atoms (fractional coordinates):
1 Na 0.8563 0.1437 0.2500  6 O 2.39-2.60
2 Na 0.1437 0.8563 0.7500  6 O 2.39-2.60
3 C 0.2705 0.7295 0.2500  2 O 1.25
4 C 0.7295 0.2705 0.7500  2 O 1.25
5 O 0.0536 0.6653 0.1813  1 C 1.25
6 O 0.3347 0.9464 0.3187  1 C 1.25
7 O 0.9464 0.3347 0.8187  1 C 1.25
8 O 0.6653 0.0536 0.6813  1 C 1.25

---

# 2
VASP calculation (GGA-PBE) on a relaxed structure of NaCO3.

space group	P2_1/c

abc: 9.4566 3.6638 8.3594
angles: 68.67 90.00 90.00
With the nearest neighbours (Å) after each atom.
Atoms (fractional coordinates):
1 Na 0.5035 0.5722 0.2136  6 O 2.43-2.53
2 Na 0.0035 0.4278 0.2864  6 O 2.43-2.53
3 Na 0.4965 0.4278 0.7864  6 O 2.43-2.53
4 Na 0.9965 0.5722 0.7136  6 O 2.43-2.53
5 C 0.7351 0.7835 0.4279  3 O 1.28-1.29
6 C 0.2351 0.2165 0.0721  3 O 1.28-1.29
7 C 0.2649 0.2165 0.5721  3 O 1.28-1.29
8 C 0.7649 0.7835 0.9279  3 O 1.28-1.29
9 O 0.8696 0.8116 0.4276  1 C 1.28
10 O 0.3696 0.1884 0.0724  1 C 1.28
11 O 0.1304 0.1884 0.5724  1 C 1.28
12 O 0.6304 0.8116 0.9276  1 C 1.28
13 O 0.6571 0.9967 0.3019  1 C 1.29
14 O 0.1571 0.0033 0.1981  1 C 1.29
15 O 0.3429 0.0033 0.6981  1 C 1.29
16 O 0.8429 0.9967 0.8019  1 C 1.29
17 O 0.6673 0.5314 0.5528  1 C 1.29
18 O 0.1673 0.4686 0.9472  1 C 1.29
19 O 0.3327 0.4686 0.4472  1 C 1.29
20 O 0.8327 0.5314 0.0528  1 C 1.29

---

# 3
VASP calculation (GGA-PBE) on a relaxed structure of NaCO2.

space group	P2_1/c

abc: 5.2973 3.5514 10.6002
angles: 86.26 90.00 90.00
With the nearest neighbours (Å) after each atom.
Atoms (fractional coordinates):
1 Na 0.5568 0.7021 0.8559  6 O 2.37-2.59
2 Na 0.0568 0.2979 0.6441  6 O 2.37-2.59
3 Na 0.4432 0.2979 0.1441  6 O 2.37-2.59
4 Na 0.9432 0.7021 0.3559  6 O 2.37-2.59
5 C 0.5439 0.8867 0.5630  2 O 1.27
6 C 0.0439 0.1133 0.9370  2 O 1.27
7 C 0.4561 0.1133 0.4370  2 O 1.27
8 C 0.9561 0.8867 0.0630  2 O 1.27
9 O 0.1175 0.8383 0.1511  1 C 1.27
10 O 0.6175 0.1617 0.3489  1 C 1.27
11 O 0.8825 0.1617 0.8489  1 C 1.27
12 O 0.3825 0.8383 0.6511  1 C 1.27
13 O 0.7299 0.7697 0.0671  1 C 1.27
14 O 0.2299 0.2303 0.4329  1 C 1.27
15 O 0.2701 0.2303 0.9329  1 C 1.27
16 O 0.7701 0.7697 0.5671  1 C 1.27

---

# 4
VASP calculation (GGA-PBE) on a relaxed structure of Na4CO4.

space group	R3m
polymorph energy (0 for the lowest one)	100.4	meV/atom

abc: 5.3195 5.3195 5.3195
angles: 72.04 72.04 72.04
With the nearest neighbours (Å) after each atom.
Atoms (fractional coordinates):
1 Na 0.5732 0.0554 0.5732  3 O 2.16-2.22
2 Na 0.5732 0.5732 0.0554  3 O 2.16-2.22
3 Na 0.0554 0.5732 0.5732  3 O 2.16-2.22
4 Na 0.1771 0.1771 0.1771  3 O 2.45, 1 C 2.54
5 C 0.9602 0.9602 0.9602  4 O 1.37-1.45
6 O 0.8431 0.8431 0.8431  1 C 1.37
7 O 0.7525 0.1284 0.1284  1 C 1.45
8 O 0.1284 0.1284 0.7525  1 C 1.45
9 O 0.1284 0.7525 0.1284  1 C 1.45

---

# 5
VASP calculation (GGA-PBE) on a relaxed structure of NaC3O3.

space group	Fddd
polymorph energy (0 for the lowest one)	0.0	meV/atom

abc: 9.3384 8.2839 7.1239
angles: 74.18 58.59 47.22
With the nearest neighbours (Å) after each atom.
Atoms (fractional coordinates):
1 Na 0.1484 0.8516 0.1484  6 O 2.50-2.61
2 Na 0.3984 0.1016 0.3984  6 O 2.50-2.61
3 Na 0.1016 0.3984 0.1016  6 O 2.50-2.61
4 Na 0.8516 0.1484 0.8516  6 O 2.50-2.61
5 C 0.8521 0.8521 0.6479  1 O 1.26
6 C 0.8656 0.5330 0.6494  1 O 1.26
7 C 0.7170 0.3844 0.2980  1 O 1.26
8 C 0.6494 0.9520 0.8656  1 O 1.26
9 C 0.5330 0.8656 0.9520  1 O 1.26
10 C 0.6021 0.6021 0.3979  1 O 1.26
11 C 0.6006 0.2980 0.3844  1 O 1.26
12 C 0.2980 0.6006 0.7170  1 O 1.26
13 C 0.3844 0.7170 0.6006  1 O 1.26
14 C 0.3979 0.3979 0.6021  1 O 1.26
15 C 0.9520 0.6494 0.5330  1 O 1.26
16 C 0.6479 0.6479 0.8521  1 O 1.26
17 O 0.3429 0.9717 0.1172  1 C 1.26
18 O 0.6888 0.6888 0.3112  1 C 1.26
19 O 0.9717 0.3429 0.5682  1 C 1.26
20 O 0.2783 0.9071 0.6818  1 C 1.26
21 O 0.5612 0.5612 0.9388  1 C 1.26
22 O 0.9071 0.2783 0.1328  1 C 1.26
23 O 0.5682 0.1172 0.9717  1 C 1.26
24 O 0.3112 0.3112 0.6888  1 C 1.26
25 O 0.1172 0.5682 0.3429  1 C 1.26
26 O 0.6818 0.1328 0.2783  1 C 1.26
27 O 0.1328 0.6818 0.9071  1 C 1.26
28 O 0.9388 0.9388 0.5612  1 C 1.26

---

# 6
VASP calculation (GGA-PBE) on a relaxed structure of Na4CO4.

space group	Cm
polymorph energy (0 for the lowest one)	152.6	meV/atom
piezoelectric modulus e_max	2.6	C/m²

abc: 5.1930 5.1930 5.4357
angles: 77.67 77.67 95.20
With the nearest neighbours (Å) after each atom.
Atoms (fractional coordinates):
1 Na 0.4701 0.9067 0.5513  4 O 2.16-2.29
2 Na 0.6156 0.0301 0.0365  3 O 2.32-2.50
3 Na 0.9067 0.4701 0.5513  4 O 2.16-2.29
4 Na 0.0301 0.6156 0.0365  3 O 2.32-2.50
5 C 0.0127 0.0127 0.4637  3 O 1.37-1.43
6 O 0.8535 0.1587 0.3169  1 C 1.43
7 O 0.8202 0.8202 0.7090  1 C 1.57
8 O 0.1726 0.1726 0.5563  1 C 1.37
9 O 0.1587 0.8535 0.3169  1 C 1.43

---

| no. | ΔE_f (kJ/mol of formula units) | calculated volume (Å³/atom) |
| --- | --- | --- |
| 1 | -569 | 15.5 |
| 2 | -857 | 13.5 |
| 3 | -726 | 12.4 |
| 4 | -1418 | 14.7 |
| 5 | -824 | 12.2 |
| 6 | -1373 | 15.4 |